! NaYTl2 (PBE, relaxed); values from VASP
&SYSTEM
  ibrav = 0, nat = 4, ntyp = 3
/
ATOMIC_SPECIES
Na 22.99 Na.upf
Y 88.91 Y.upf
Tl 204.38 Tl.upf
CELL_PARAMETERS angstrom
0.000 3.808 3.808
3.808 0.000 3.808
3.808 3.808 0.000
ATOMIC_POSITIONS angstrom
Na 0.000 0.000 0.000
Y 3.808 3.808 3.808
Tl 1.904 1.904 1.904
Tl 5.712 5.712 5.712
! E_form: -0.2413 eV/atom
! calculated density: 7.83 g/cm³